1.
Here is crystalline NaNb2PS10 at its relaxed geometry from the Materials Project database. Energies are from GGA-PBE.

Values from the calculation:
Magnetization: 0.000 Bohr magnetons per cell
Total DFT energy (no corrections): -623.40 eV/cell
Formation energy: -14.653 eV per formula unit
Density: 2645 kg/m³

abc: 26.137 8.264 13.031
angles: 90.00 90.41 90.00
Space group C2/c (No. 15)
One atom of each set of equivalent atoms:
Na1 0.058 0.004 0.120
Nb1 0.140 0.436 0.223
Nb2 0.140 0.442 0.514
P1 0.103 0.123 0.371
S1 0.053 0.062 0.873
S2 0.070 0.392 0.649
S3 0.071 0.383 0.084
S4 0.072 0.357 0.368
S5 0.146 0.122 0.239
S6 0.146 0.128 0.503
S7 0.157 0.359 0.867
S8 0.206 0.447 0.369
S9 0.208 0.378 0.095
S10 0.208 0.389 0.644


2.
Here is crystalline Na5SrNbP4 at its relaxed geometry from the Materials Project database. Energies are from GGA-PBE.

Values from the calculation:
Total DFT energy (no corrections): -186.63 eV/cell
Formation energy: -6.600 eV per formula unit
Density: 2498 kg/m³

abc: 9.345 16.206 7.364
angles: 90.00 90.06 90.00
Space group Cc (No. 9)
One atom of each set of equivalent atoms:
Na1 0.000 0.031 0.000
Na2 0.007 0.357 0.671
Na3 0.223 0.431 0.177
Na4 0.285 0.071 0.667
Na5 0.299 0.267 0.500
Sr1 0.206 0.235 0.996
Nb1 0.005 0.165 0.388
P1 0.001 0.168 0.715
P2 0.002 0.307 0.283
P3 0.216 0.096 0.280
P4 0.290 0.403 0.788


3.
Here is crystalline NaNbS6 at its relaxed geometry from the Materials Project database. Energies are from GGA-PBE.

Values from the calculation:
Energy above the lowest structure with this stoichiometry: 0.249 eV/atom
Magnetization: 0.001 Bohr magnetons per cell
Total DFT energy (no corrections): -314.54 eV/cell
Formation energy: -6.092 eV per formula unit
Density: 2329 kg/m³

abc: 7.468 21.596 11.264
angles: 90.00 104.52 90.00
Space group C2/c (No. 15)
One atom of each set of equivalent atoms:
Na1 0.236 0.180 0.296
Nb1 0.157 0.440 0.058
S1 0.050 0.012 0.845
S2 0.063 0.171 0.489
S3 0.112 0.364 0.892
S4 0.114 0.482 0.400
S5 0.116 0.366 0.220
S6 0.177 0.172 0.964


4.
Here is crystalline NaNbS6 at its relaxed geometry from the Materials Project database. Energies are from GGA-PBE.

Values from the calculation:
Energy above the lowest structure with this stoichiometry: 0.000 eV/atom
Piezoelectric modulus e_max: 0.271 C/m2
Total DFT energy (no corrections): -165.25 eV/cell
Formation energy: -8.087 eV per formula unit
Density: 2877 kg/m³

abc: 7.571 12.993 7.291
angles: 90.00 96.96 90.00
Space group Cc (No. 9)
One atom of each set of equivalent atoms:
Na1 0.000 0.169 0.000
Nb1 0.005 0.487 0.259
S1 0.100 0.363 0.523
S2 0.157 0.392 0.015
S3 0.255 0.027 0.475
S4 0.308 0.139 0.291
S5 0.331 0.472 0.204
S6 0.396 0.193 0.832


Please write out number 4 again, unchanged.
Here is crystalline NaNbS6 at its relaxed geometry from the Materials Project database. Energies are from GGA-PBE.

Values from the calculation:
Energy above the lowest structure with this stoichiometry: 0.000 eV/atom
Piezoelectric modulus e_max: 0.271 C/m2
Total DFT energy (no corrections): -165.25 eV/cell
Formation energy: -8.087 eV per formula unit
Density: 2877 kg/m³

abc: 7.571 12.993 7.291
angles: 90.00 96.96 90.00
Space group Cc (No. 9)
One atom of each set of equivalent atoms:
Na1 0.000 0.169 0.000
Nb1 0.005 0.487 0.259
S1 0.100 0.363 0.523
S2 0.157 0.392 0.015
S3 0.255 0.027 0.475
S4 0.308 0.139 0.291
S5 0.331 0.472 0.204
S6 0.396 0.193 0.832


> Which of these has the lowest formation energy?

NaNb2PS10


> Look up the formation energy of the third one.

-6.092 eV per formula unit


> Number 2 is which compound?

Na5SrNbP4